Entry 1:
CsRb3 | PBE | optimized geometry

Cell: 11.5805 11.5805 11.5805 Å, 90.00 90.00 90.00°
Closest atoms and distances in Å follow each position.
Space group Fm-3m (No. 225)
One atom of each set of equivalent atoms:
Cs  0.0000  0.0000  0.0000 (multiplicity 4)  8 Rb 5.01
Rb  0.0000  0.0000  0.5000 (multiplicity 4)  8 Rb 5.01
Rb  0.2500  0.2500  0.2500 (multiplicity 8)  4 Rb 5.01, 4 Cs 5.01

Properties
**Crystal system**: cubic
**Theoretical density**: 1665 kg/m3
**Energy**: -0.95 eV/atom


Entry 2:
CsRb3 | PBE | optimized geometry

Cell: 7.2838 7.2838 7.2838 Å, 90.00 90.00 90.00°
Closest atoms and distances in Å follow each position.
Space group Pm-3m (No. 221)
One atom of each set of equivalent atoms:
Cs  0.0000  0.0000  0.0000 (multiplicity 1)  12 Rb 5.15
Rb  0.0000  0.5000  0.5000 (multiplicity 3)  8 Rb 5.15, 4 Cs 5.15

Properties
**Crystal system**: cubic
**Theoretical density**: 1673 kg/m3
**Energy**: -0.94 eV/atom


Entry 3:
CsRb14Tl27 | PBE | optimized geometry

Cell: 10.6478 10.6478 18.1564 Å, 90.00 90.00 120.00°
Closest atoms and distances in Å follow each position.
Space group P-62m (No. 189)
One atom of each set of equivalent atoms:
Cs  0.0000  0.0000  0.0000 (multiplicity 1)  12 Tl 4.34-4.46, 6 Rb 4.49
Rb  0.0000  0.2722  0.1887 (multiplicity 6)  9 Tl 3.95-4.13, 3 Rb 4.29-4.36
Rb  0.0000  0.6108  0.3169 (multiplicity 6)  6 Tl 3.83-4.19
Rb  0.3333  0.6667  0.5000 (multiplicity 2)  9 Tl 4.18-4.35, 6 Rb 4.68
Tl  0.0000  0.0000  0.3504 (multiplicity 2)  6 Tl 3.20-3.53
Tl  0.0000  0.2840  0.4086 (multiplicity 6)  4 Tl 3.19-3.32
Tl  0.0000  0.6175  0.1000 (multiplicity 6)  7 Tl 3.32-3.63
Tl  0.0000  0.7887  0.5000 (multiplicity 3)  6 Tl 3.19-3.53
Tl  0.1727  0.4656  0.0000 (multiplicity 6)  9 Tl 3.19-3.50
Tl  0.3333  0.6667  0.1565 (multiplicity 4)  6 Tl 3.45-3.47

Properties
**Crystal system**: hexagonal
**Theoretical density**: 6379 kg/m3
**Energy**: -1.99 eV/atom


Energy of formation for every record listed, in sequence, given in eV/atom: 0.01, 0.02, -0.12.